(1)
Computed, not measured: a geometry-optimized Li4MnO3 structure at the PBE+U level of DFT.

Cell lengths 5.086, 10.247, 6.796 Å; angles 107.28, 90.01, 90.02 degrees
Positions (direct):
Li  0.353  0.380  0.303
Li  0.853  0.880  0.803
Li  0.646  0.380  0.802
Li  0.146  0.880  0.302
Li  0.159  0.276  0.916
Li  0.659  0.776  0.416
Li  0.841  0.275  0.416
Li  0.341  0.775  0.916
Li  0.717  0.206  0.036
Li  0.217  0.706  0.536
Li  0.282  0.206  0.536
Li  0.782  0.706  0.036
Li  0.849  0.136  0.669
Li  0.349  0.636  0.169
Li  0.150  0.137  0.170
Li  0.650  0.637  0.670
Mn  0.851  0.516  0.257
Mn  0.648  0.016  0.256
Mn  0.351  0.016  0.757
Mn  0.148  0.516  0.756
O  0.006  0.333  0.191
O  0.506  0.833  0.691
O  0.993  0.333  0.691
O  0.493  0.833  0.191
O  0.497  0.203  0.786
O  0.997  0.703  0.286
O  0.502  0.203  0.286
O  0.002  0.703  0.786
O  0.993  0.062  0.892
O  0.493  0.562  0.392
O  0.006  0.062  0.392
O  0.506  0.562  0.891

Values from the calculation:
* energy of formation from the pure elements: -1.969 eV/atom
* calculated density: 2.6 Mg/m³

***

(2)
Computed, not measured: a geometry-optimized Li2Mn5O10 structure at the PBE+U level of DFT.

Cell lengths 5.068, 5.192, 7.641 Å; angles 73.65, 72.39, 80.13 degrees
Positions (direct):
Li  0.238  0.493  0.570
Li  0.762  0.507  0.430
Mn  0.110  0.998  0.309
Mn  0.000  0.500  0.000
Mn  0.690  0.010  0.110
Mn  0.310  0.990  0.890
Mn  0.890  0.002  0.691
O  0.042  0.792  0.138
O  0.090  0.226  0.470
O  0.342  0.205  0.062
O  0.206  0.767  0.768
O  0.459  0.797  0.323
O  0.541  0.203  0.677
O  0.794  0.233  0.232
O  0.658  0.795  0.938
O  0.910  0.774  0.530
O  0.958  0.208  0.862

Values from the calculation:
* energy of formation from the pure elements: -1.936 eV/atom
* calculated density: 4.1 Mg/m³

***

(3)
Computed, not measured: a geometry-optimized LiMn3O4 structure at the PBE+U level of DFT.

Cell lengths 3.166, 6.286, 8.652 Å; angles 90.00, 90.00, 91.42 degrees
Positions (direct):
Li  0.500  0.750  0.747
Li  0.500  0.250  0.247
Mn  0.500  0.250  0.752
Mn  0.002  0.499  0.498
Mn  0.998  0.001  0.498
Mn  0.500  0.750  0.253
Mn  0.002  0.999  0.998
Mn  0.998  0.501  0.998
O  0.075  0.513  0.250
O  0.075  0.013  0.750
O  0.925  0.487  0.750
O  0.925  0.987  0.250
O  0.500  0.750  0.021
O  0.500  0.250  0.521
O  0.500  0.250  0.984
O  0.500  0.750  0.484

Values from the calculation:
* energy of formation from the pure elements: -2.035 eV/atom
* calculated density: 4.5 Mg/m³

***

(4)
Computed, not measured: a geometry-optimized Li12Mn2O9 structure at the PBE+U level of DFT.

Cell lengths 5.764, 5.674, 8.162 Å; angles 87.15, 92.25, 117.82 degrees
Positions (direct):
Li  0.060  0.700  0.919
Li  0.288  0.953  0.580
Li  0.064  0.346  0.573
Li  0.038  0.027  0.261
Li  0.971  0.997  0.772
Li  0.321  0.366  0.918
Li  0.625  0.681  0.583
Li  0.376  0.035  0.089
Li  0.704  0.714  0.069
Li  0.924  0.622  0.403
Li  0.669  0.069  0.397
Li  0.939  0.293  0.078
Mn  0.331  0.620  0.273
Mn  0.669  0.301  0.759
O  0.292  0.920  0.348
O  0.995  0.344  0.323
O  0.039  0.020  0.008
O  0.325  0.648  0.037
O  0.334  0.286  0.683
O  0.687  0.746  0.326
O  0.677  0.383  0.979
O  0.958  0.639  0.669
O  0.701  0.047  0.634

Values from the calculation:
* energy of formation from the pure elements: -2.026 eV/atom
* calculated density: 2.4 Mg/m³

***

(5)
Computed, not measured: a geometry-optimized Li7Mn17O32 structure at the PBE+U level of DFT.

Cell lengths 10.269, 10.269, 8.276 Å; angles 66.35, 66.35, 107.93 degrees
Positions (direct):
Li  0.938  0.563  0.502
Li  0.811  0.189  0.000
Li  0.685  0.808  0.004
Li  0.564  0.436  0.500
Li  0.437  0.062  0.498
Li  0.192  0.315  0.996
Li  0.062  0.938  0.500
Mn  0.870  0.869  0.255
Mn  0.001  0.755  0.995
Mn  0.002  0.254  0.496
Mn  0.627  0.126  0.748
Mn  0.746  0.998  0.504
Mn  0.874  0.373  0.252
Mn  0.752  0.501  0.999
Mn  0.382  0.378  0.247
Mn  0.499  0.248  0.001
Mn  0.622  0.618  0.753
Mn  0.497  0.744  0.502
Mn  0.256  0.503  0.498
Mn  0.124  0.626  0.747
Mn  0.374  0.876  0.253
Mn  0.311  0.689  0.000
Mn  0.245  0.999  0.005
Mn  0.131  0.130  0.745
O  0.886  0.871  0.010
O  0.746  0.010  0.734
O  0.871  0.359  0.495
O  0.990  0.254  0.266
O  0.641  0.129  0.505
O  0.784  0.523  0.213
O  0.873  0.389  0.011
O  0.007  0.745  0.767
O  0.494  0.261  0.235
O  0.610  0.598  0.006
O  0.739  0.506  0.765
O  0.402  0.390  0.994
O  0.838  0.851  0.519
O  0.503  0.737  0.736
O  0.613  0.626  0.523
O  0.726  0.962  0.291
O  0.266  0.527  0.716
O  0.382  0.861  0.491
O  0.473  0.734  0.284
O  0.139  0.618  0.509
O  0.611  0.127  0.989
O  0.255  0.993  0.233
O  0.374  0.891  0.006
O  0.477  0.216  0.787
O  0.017  0.778  0.215
O  0.129  0.114  0.990
O  0.222  0.983  0.785
O  0.374  0.387  0.477
O  0.038  0.274  0.709
O  0.149  0.162  0.481
O  0.263  0.497  0.264
O  0.109  0.626  0.994

Values from the calculation:
* energy of formation from the pure elements: -2.050 eV/atom
* calculated density: 4.1 Mg/m³
* relative energy among the computed polymorphs: 0.0 meV per atom

***

(6)
Computed, not measured: a geometry-optimized Li2MnO3 structure at the PBE+U level of DFT.

Cell lengths 5.002, 5.002, 9.734 Å; angles 85.22, 85.22, 119.90 degrees
Positions (direct):
Li  0.500  0.500  0.000
Li  0.000  0.000  0.500
Li  0.750  0.750  0.250
Li  0.250  0.250  0.750
Li  0.089  0.411  0.250
Li  0.589  0.911  0.750
Li  0.411  0.089  0.250
Li  0.911  0.589  0.750
Mn  0.833  0.167  0.000
Mn  0.167  0.833  0.000
Mn  0.333  0.667  0.500
Mn  0.667  0.333  0.500
O  0.395  0.395  0.386
O  0.895  0.895  0.886
O  0.105  0.105  0.114
O  0.605  0.605  0.614
O  0.037  0.679  0.388
O  0.537  0.179  0.888
O  0.821  0.463  0.112
O  0.321  0.963  0.612
O  0.463  0.821  0.112
O  0.963  0.321  0.612
O  0.679  0.037  0.388
O  0.179  0.537  0.888

Values from the calculation:
* energy of formation from the pure elements: -2.180 eV/atom
* calculated density: 3.7 Mg/m³

***

(7)
Computed, not measured: a geometry-optimized Li3MnO3 structure at the PBE+U level of DFT.

Cell lengths 3.536, 9.134, 9.134 Å; angles 90.00, 90.00, 90.00 degrees
Positions (direct):
Li  0.000  0.174  0.174
Li  0.500  0.326  0.674
Li  0.500  0.674  0.326
Li  0.000  0.826  0.826
Li  0.500  0.094  0.354
Li  0.000  0.146  0.594
Li  0.500  0.354  0.094
Li  0.000  0.406  0.854
Li  0.000  0.594  0.146
Li  0.500  0.646  0.906
Li  0.000  0.854  0.406
Li  0.500  0.906  0.646
Mn  0.000  0.615  0.615
Mn  0.500  0.885  0.115
Mn  0.500  0.115  0.885
Mn  0.000  0.385  0.385
O  0.500  0.101  0.101
O  0.000  0.399  0.601
O  0.000  0.601  0.399
O  0.500  0.899  0.899
O  0.500  0.113  0.679
O  0.000  0.179  0.387
O  0.500  0.321  0.887
O  0.000  0.387  0.179
O  0.000  0.613  0.821
O  0.500  0.679  0.113
O  0.000  0.821  0.613
O  0.500  0.887  0.321

Values from the calculation:
* energy of formation from the pure elements: -2.101 eV/atom
* calculated density: 2.8 Mg/m³
* relative energy among the computed polymorphs: 0.0 meV per atom

***

(8)
Computed, not measured: a geometry-optimized Li3Mn3O8 structure at the PBE+U level of DFT.

Cell lengths 8.340, 8.340, 8.303 Å; angles 89.05, 89.05, 90.21 degrees
Positions (direct):
Li  0.748  0.252  0.500
Li  0.222  0.192  0.504
Li  0.391  0.386  0.640
Li  0.002  0.819  0.727
Li  0.621  0.129  0.869
Li  0.135  0.613  0.890
Li  0.501  0.499  0.000
Li  0.387  0.865  0.110
Li  0.871  0.379  0.131
Li  0.181  0.998  0.273
Li  0.614  0.609  0.360
Li  0.808  0.778  0.496
Mn  0.260  0.740  0.500
Mn  0.005  0.502  0.503
Mn  0.505  0.751  0.748
Mn  0.755  0.508  0.753
Mn  0.996  0.261  0.759
Mn  0.752  0.755  0.996
Mn  0.995  0.005  0.000
Mn  0.245  0.248  0.004
Mn  0.739  0.004  0.241
Mn  0.492  0.245  0.247
Mn  0.249  0.495  0.252
Mn  0.498  0.995  0.497
O  0.035  0.729  0.516
O  0.496  0.758  0.510
O  0.780  0.520  0.517
O  0.004  0.274  0.533
O  0.513  0.979  0.719
O  0.279  0.733  0.731
O  0.991  0.495  0.742
O  0.531  0.523  0.750
O  0.768  0.283  0.757
O  0.745  0.744  0.755
O  0.990  0.038  0.775
O  0.230  0.264  0.777
O  0.523  0.752  0.972
O  0.758  0.530  0.982
O  0.981  0.782  0.972
O  0.010  0.242  0.995
O  0.758  0.990  0.005
O  0.218  0.019  0.028
O  0.470  0.242  0.018
O  0.248  0.477  0.028
O  0.736  0.770  0.223
O  0.962  0.010  0.225
O  0.256  0.255  0.245
O  0.717  0.232  0.243
O  0.477  0.469  0.250
O  0.505  0.009  0.258
O  0.267  0.721  0.269
O  0.021  0.487  0.281
O  0.726  0.996  0.467
O  0.480  0.220  0.483
O  0.242  0.504  0.490
O  0.271  0.965  0.484

Values from the calculation:
* energy of formation from the pure elements: -1.939 eV/atom
* calculated density: 3.6 Mg/m³
* relative energy among the computed polymorphs: 37.9 meV per atom

***

(9)
Computed, not measured: a geometry-optimized LiMn6O12 structure at the PBE+U level of DFT.

Cell lengths 6.692, 6.692, 15.377 Å; angles 82.67, 82.67, 82.08 degrees
Positions (direct):
Li  0.751  0.247  0.832
Li  0.753  0.249  0.168
Li  0.412  0.588  0.500
Mn  0.987  0.490  0.584
Mn  0.007  0.506  0.250
Mn  0.174  0.339  0.750
Mn  0.165  0.334  0.417
Mn  0.175  0.339  0.083
Mn  0.326  0.160  0.585
Mn  0.330  0.162  0.251
Mn  0.494  0.993  0.750
Mn  0.324  0.157  0.919
Mn  0.510  0.013  0.416
Mn  0.496  0.996  0.084
Mn  0.666  0.835  0.583
Mn  0.661  0.826  0.250
Mn  0.838  0.670  0.749
Mn  0.661  0.825  0.917
Mn  0.840  0.674  0.415
Mn  0.843  0.676  0.081
Mn  0.004  0.504  0.916
O  0.896  0.397  0.720
O  0.268  0.427  0.624
O  0.905  0.408  0.369
O  0.267  0.427  0.294
O  0.906  0.403  0.041
O  0.438  0.254  0.799
O  0.265  0.427  0.961
O  0.423  0.279  0.468
O  0.059  0.239  0.874
O  0.438  0.260  0.129
O  0.065  0.230  0.537
O  0.592  0.095  0.631
O  0.065  0.243  0.203
O  0.603  0.104  0.280
O  0.232  0.071  0.707
O  0.757  0.935  0.797
O  0.597  0.094  0.959
O  0.245  0.071  0.371
O  0.770  0.935  0.463
O  0.396  0.894  0.873
O  0.233  0.070  0.042
O  0.761  0.941  0.126
O  0.402  0.892  0.546
O  0.929  0.755  0.629
O  0.398  0.897  0.205
O  0.573  0.733  0.706
O  0.929  0.768  0.293
O  0.930  0.767  0.958
O  0.573  0.732  0.376
O  0.740  0.562  0.871
O  0.103  0.602  0.795
O  0.573  0.735  0.039
O  0.721  0.577  0.532
O  0.108  0.598  0.454
O  0.746  0.562  0.201
O  0.106  0.604  0.127

Values from the calculation:
* energy of formation from the pure elements: -1.866 eV/atom
* calculated density: 3.9 Mg/m³
* relative energy among the computed polymorphs: 3.7 meV per atom

***

(10)
Computed, not measured: a geometry-optimized Li3MnO4 structure at the PBE+U level of DFT.

Cell lengths 5.085, 10.193, 9.773 Å; angles 16.26, 29.45, 33.33 degrees
Positions (direct):
Li  0.991  0.995  0.010
Li  0.997  0.514  0.986
Li  0.502  0.010  0.488
Mn  0.499  0.503  0.496
O  0.280  0.002  0.220
O  0.187  0.505  0.265
O  0.721  0.005  0.770
O  0.808  0.502  0.728

Values from the calculation:
* energy of formation from the pure elements: -1.980 eV/atom
* calculated density: 3.3 Mg/m³

***

(11)
Computed, not measured: a geometry-optimized LiMn3O6 structure at the PBE+U level of DFT.

Cell lengths 5.953, 5.927, 13.153 Å; angles 102.90, 103.23, 88.35 degrees
Positions (direct):
Li  0.870  0.615  0.246
Li  0.467  0.715  0.420
Li  0.120  0.375  0.751
Li  0.212  0.969  0.919
Mn  0.996  0.494  0.000
Mn  0.497  0.494  0.997
Mn  0.340  0.838  0.164
Mn  0.344  0.337  0.168
Mn  0.666  0.162  0.331
Mn  0.161  0.162  0.329
Mn  0.996  0.494  0.502
Mn  0.990  0.996  0.497
Mn  0.334  0.844  0.668
Mn  0.836  0.845  0.672
Mn  0.660  0.168  0.834
Mn  0.665  0.666  0.834
O  0.274  0.741  0.011
O  0.258  0.288  0.011
O  0.553  0.576  0.155
O  0.122  0.589  0.162
O  0.560  0.084  0.175
O  0.135  0.097  0.171
O  0.436  0.396  0.320
O  0.414  0.941  0.322
O  0.905  0.368  0.327
O  0.896  0.924  0.344
O  0.196  0.231  0.487
O  0.767  0.236  0.485
O  0.226  0.757  0.511
O  0.784  0.757  0.515
O  0.072  0.057  0.655
O  0.091  0.634  0.673
O  0.594  0.636  0.679
O  0.584  0.061  0.676
O  0.889  0.932  0.825
O  0.431  0.929  0.822
O  0.433  0.409  0.843
O  0.887  0.401  0.840
O  0.714  0.255  0.986
O  0.736  0.698  0.988

Values from the calculation:
* energy of formation from the pure elements: -1.978 eV/atom
* calculated density: 4.0 Mg/m³
* relative energy among the computed polymorphs: 1.7 meV per atom

***

DFT total energy, record by record: -5.458, -6.871, -7.214, -5.341, -6.998, -6.196, -5.816, -6.389, -7.024, -5.763, -6.974 eV per atom